Record 1
Material: NaYHfP2SO12
Method: DFT, PBE
State: relaxed

Unit cell a=9.0021 b=9.0063 c=23.5392 alpha=89.74 beta=90.00 gamma=119.98
Fractional positions:
Na 0.9777 0.9877 0.5008
Na 0.0100 0.9877 0.0008
Na 0.6444 0.3211 0.8341
Na 0.6767 0.3211 0.3341
Na 0.3111 0.6544 0.1674
Na 0.3433 0.6544 0.6674
Y 0.9936 0.0040 0.6464
Y 0.0105 0.0040 0.1464
Y 0.6602 0.3374 0.9797
Y 0.6772 0.3374 0.4797
Y 0.3269 0.6707 0.3130
Y 0.3438 0.6707 0.8130
Hf 0.0019 0.0030 0.3518
Hf 0.0011 0.0030 0.8518
Hf 0.6685 0.3363 0.6852
Hf 0.6678 0.3363 0.1852
Hf 0.3352 0.6697 0.0185
Hf 0.3345 0.6697 0.5185
P 0.3012 0.0129 0.2502
P 0.9895 0.2877 0.2493
P 0.2982 0.2877 0.7493
P 0.7117 0.0129 0.7502
P 0.9679 0.3463 0.5835
P 0.6562 0.6210 0.5827
P 0.9649 0.6210 0.0827
P 0.3784 0.3463 0.0835
P 0.6345 0.6796 0.9168
P 0.3228 0.9544 0.9160
P 0.6315 0.9544 0.4160
P 0.0450 0.6796 0.4168
S 0.7123 0.7026 0.2503
S 0.9903 0.7026 0.7503
S 0.3789 0.0359 0.5837
S 0.6570 0.0359 0.0837
S 0.0456 0.3692 0.9170
S 0.3236 0.3692 0.4170
O 0.2048 0.0291 0.3036
O 0.8196 0.7896 0.3016
O 0.9695 0.1744 0.3034
O 0.2049 0.1744 0.8034
O 0.9700 0.7896 0.8016
O 0.8244 0.0291 0.8036
O 0.7903 0.9841 0.6973
O 0.1957 0.2021 0.6964
O 0.0158 0.8035 0.6988
O 0.7877 0.8035 0.1988
O 0.0064 0.2021 0.1964
O 0.1938 0.9841 0.1973
O 0.8714 0.3624 0.6369
O 0.4863 0.1229 0.6349
O 0.6361 0.5077 0.6368
O 0.8715 0.5077 0.1368
O 0.6366 0.1229 0.1349
O 0.4910 0.3624 0.1369
O 0.4570 0.3174 0.0306
O 0.8623 0.5354 0.0298
O 0.6825 0.1368 0.0322
O 0.4543 0.1368 0.5322
O 0.6731 0.5354 0.5298
O 0.8604 0.3174 0.5306
O 0.5381 0.6958 0.9703
O 0.1529 0.4562 0.9683
O 0.3028 0.8410 0.9701
O 0.5382 0.8410 0.4701
O 0.3033 0.4562 0.4683
O 0.1577 0.6958 0.4703
O 0.1237 0.6508 0.3640
O 0.5290 0.8687 0.3631
O 0.3491 0.4701 0.3655
O 0.1210 0.4701 0.8655
O 0.3397 0.8687 0.8631
O 0.5271 0.6508 0.8640
O 0.0382 0.8493 0.4109
O 0.8130 0.9697 0.4109
O 0.1614 0.1990 0.4124
O 0.0376 0.1990 0.9124
O 0.1568 0.9697 0.9109
O 0.8111 0.8493 0.9109
O 0.9997 0.1947 0.5881
O 0.2044 0.0065 0.5899
O 0.8142 0.8001 0.5878
O 0.9859 0.8001 0.0878
O 0.8020 0.0065 0.0899
O 0.1950 0.1947 0.0881
O 0.7048 0.1826 0.7442
O 0.4796 0.3031 0.7442
O 0.8281 0.5324 0.7458
O 0.7043 0.5324 0.2458
O 0.8234 0.3031 0.2442
O 0.4778 0.1826 0.2442
O 0.6664 0.5281 0.9214
O 0.8711 0.3398 0.9232
O 0.4808 0.1334 0.9212
O 0.6526 0.1334 0.4212
O 0.4687 0.3398 0.4232
O 0.8616 0.5281 0.4214
O 0.3715 0.5160 0.0775
O 0.1463 0.6364 0.0776
O 0.4948 0.8657 0.0791
O 0.3709 0.8657 0.5791
O 0.4901 0.6364 0.5776
O 0.1445 0.5160 0.5775
O 0.3331 0.8614 0.2548
O 0.5377 0.6731 0.2566
O 0.1475 0.4668 0.2545
O 0.3193 0.4668 0.7545
O 0.1354 0.6731 0.7566
O 0.5283 0.8614 0.7548

Record 2
Material: Lu2CuAu
Method: DFT, PBE
State: relaxed

Unit cell a=4.8771 b=4.8771 c=4.8771 alpha=60.00 beta=60.00 gamma=60.00
Fractional positions:
Lu 0.2500 0.2500 0.2500
Lu 0.7500 0.7500 0.7500
Cu 0.0000 0.0000 0.0000
Au 0.5000 0.5000 0.5000

Record 3
Material: NiTe
Method: DFT, PBE
State: relaxed

Unit cell a=4.0195 b=4.0195 c=5.2709 alpha=90.00 beta=90.00 gamma=120.00
Fractional positions:
Ni 0.0000 0.0000 0.0000
Ni 0.0000 0.0000 0.5000
Te 0.3333 0.6667 0.2500
Te 0.6667 0.3333 0.7500

Energy of formation (eV/atom)
-2.996; -0.597; -0.399